# 1
## La2GeS5 (PBE)

Data for a geometry-optimized La2GeS5 structure.

**Symmetry**: No. 14
**Calculated total energy**: -189.36 eV per cell
**Offset from the most stable computed form**: 0.00 eV/f.u.
**Formation energy from the elements**: -1834.6 meV/atom

Structure (extended XYZ):
```
32
Lattice="12.815 0.000 0.000 0.000 7.715 0.000 0.000 1.563 7.814" Properties=species:S:1:pos:R:3 pbc="T T T"
La 5.210 6.723 4.235
La 11.617 3.336 7.487
S 6.077 7.783 6.883
S 0.331 7.002 2.976
La 10.681 7.474 4.961
S 9.822 4.847 3.539
La 8.541 6.693 1.054
Ge 11.320 3.246 3.196
S 7.958 7.432 3.900
La 2.134 1.804 2.853
S 6.499 4.912 2.223
S 9.043 2.240 6.274
S 6.739 1.495 0.931
S 4.857 1.846 3.914
S 10.180 1.459 2.367
La 7.605 2.555 3.580
La 4.274 2.585 6.760
Ge 7.903 4.027 7.103
Ge 1.495 6.032 4.618
Ge 4.912 5.251 0.711
S 1.551 1.065 0.007
S 3.772 7.038 1.540
S 3.415 3.650 0.368
S 2.635 7.819 5.447
S 0.092 3.584 1.685
S 6.316 4.366 5.592
S 9.400 5.628 7.446
S 2.993 4.431 4.275
S 12.724 5.694 6.130
S 11.264 8.213 7.807
La 1.198 5.942 0.328
S 12.484 2.276 4.838
```


# 2
## La12Ge5S28 (PBE)

Data for a geometry-optimized La12Ge5S28 structure.

**Symmetry**: No. 1
**Calculated total energy**: -269.74 eV per cell
**Formation energy from the elements**: -1903.4 meV/atom

Structure (extended XYZ):
```
45
Lattice="0.434 7.538 -7.101 -10.812 -2.841 -3.678 1.666 3.416 11.291" Properties=species:S:1:pos:R:3 pbc="T T T"
S -7.251 0.445 2.245
Ge -1.507 4.051 4.234
S -1.988 4.855 2.194
La -4.535 1.913 -2.792
La -9.910 4.587 -7.338
S 1.416 8.949 2.560
La -4.505 6.284 3.143
La -8.109 0.556 -0.669
Ge -2.703 -0.708 -0.919
S -0.782 5.692 -1.579
S -4.682 0.542 -0.189
La -4.699 5.908 -5.389
S -3.751 7.406 0.631
S -1.640 2.733 7.985
S -6.973 5.403 -7.165
Ge -8.244 3.768 -4.071
La -4.362 2.089 5.960
La -2.603 2.151 1.309
S -6.973 0.363 -3.259
S 0.522 4.587 4.897
S 0.430 2.134 1.709
S -1.905 1.840 4.240
S -8.541 3.472 3.698
S -3.137 4.915 5.493
La -9.755 0.357 -4.517
S -1.661 6.844 -5.592
S -7.142 1.268 5.836
S -4.087 6.982 -2.746
La -6.159 6.097 -0.689
S -1.690 1.525 -1.400
S -4.015 4.033 -0.710
S -7.153 6.332 1.942
S -8.258 2.495 -5.904
La -0.836 7.356 0.954
S -7.347 3.313 0.269
La 1.261 3.542 7.694
S -9.506 5.561 -4.562
S -6.249 4.344 -3.326
Ge -6.904 2.658 2.371
S -4.895 3.185 3.082
S -1.575 8.030 3.707
S -2.823 3.927 -4.064
Ge -2.832 5.207 -2.211
S -9.420 2.644 -2.530
La 1.075 7.608 5.092
```